# 1
{
  "formula": "Na6Ta3Al5P12O48",
  "functional": "PBE",
  "state": "optimized geometry",
  "e_tot_ev_per_cell": -1651.63,
  "delta_e_f_ev_per_atom": -2.957,
  "lattice_angstrom": [[17.140, -0.001, 0.004], [-4.285, 7.422, -0.003], [0.005, -0.006, 22.028]],
  "species": ["O", "P", "P", "P", "O", "Na", "Ta", "Ta", "P", "O", "O", "O", "O", "P", "O", "O", "P", "O", "O", "O", "O", "O", "O", "P", "O", "Na", "O", "O", "O", "O", "O", "Ta", "O", "Na", "O", "Al", "O", "O", "Ta", "O", "O", "Na", "O", "O", "P", "O", "O", "Al", "O", "P", "O", "P", "O", "O", "O", "Na", "O", "O", "O", "O", "O", "O", "P", "O", "O", "Ta", "O", "O", "O", "O", "O", "O", "O", "O", "Al", "P", "O", "P", "O", "O", "O", "O", "O", "Na", "O", "O", "O", "P", "Ta", "Na", "P", "O", "Al", "O", "O", "P", "O", "O", "O", "O", "Al", "Na", "P", "O", "O", "P", "Al", "O", "O", "O", "O", "P", "Ta", "O", "Na", "O", "P", "Al", "O", "O", "Na", "P", "O", "Al", "Ta", "P", "O", "O", "P", "O", "O", "O", "O", "O", "Na", "O", "Na", "O", "O", "O", "O", "O", "O", "O", "P", "O", "P", "P", "O", "O", "P", "O", "O", "P", "O", "O", "Al", "P", "O", "O", "O", "P", "Na", "O", "Na", "O", "O", "O", "O", "O", "O", "O", "Al", "O", "P", "O", "Na", "O", "O", "O", "Al", "P", "O", "O", "O", "O", "O", "Al", "O", "P", "O", "P", "O", "Na", "O", "O", "O", "Na", "O", "O", "O", "P", "O", "O", "O", "O", "O", "O", "O", "O", "O", "P", "O", "Al", "Na", "Al", "O", "O", "O", "O", "Al", "Ta"],
  "fractional_positions": [[0.064, 0.635, 0.357], [0.339, 0.620, 0.584], [0.839, 0.619, 0.584], [0.690, 0.059, 0.585], [0.318, 0.503, 0.641], [0.998, 0.630, 0.249], [0.500, 0.999, 0.855], [0.999, 0.002, 0.356], [0.853, 0.994, 0.747], [0.418, 0.310, 0.244], [0.680, 0.864, 0.578], [0.012, 0.195, 0.909], [0.344, 0.166, 0.743], [0.186, 0.320, 0.081], [0.434, 0.507, 0.139], [0.267, 0.839, 0.473], [0.173, 0.386, 0.416], [0.934, 0.507, 0.143], [0.252, 0.863, 0.077], [0.085, 0.196, 0.410], [0.081, 0.467, 0.971], [0.420, 0.810, 0.592], [0.920, 0.810, 0.592], [0.001, 0.291, 0.246], [0.585, 0.975, 0.910], [0.682, 0.999, 0.747], [0.152, 0.827, 0.257], [0.903, 0.830, 0.909], [0.065, 0.494, 0.857], [0.767, 0.840, 0.473], [0.986, 0.161, 0.592], [0.669, 0.667, 0.025], [0.319, 0.145, 0.425], [0.502, 0.004, 0.006], [0.415, 0.033, 0.805], [0.334, 0.334, 0.980], [0.083, 0.963, 0.194], [0.237, 0.165, 0.243], [0.501, 0.999, 0.357], [0.081, 0.694, 0.471], [0.844, 0.522, 0.242], [0.685, 0.366, 0.249], [0.486, 0.812, 0.091], [0.759, 0.830, 0.757], [0.147, 0.296, 0.747], [0.153, 0.839, 0.971], [0.012, 0.830, 0.409], [0.833, 0.332, 0.982], [0.350, 0.166, 0.026], [0.840, 0.061, 0.084], [0.179, 0.496, 0.077], [0.969, 0.619, 0.085], [0.738, 0.169, 0.242], [0.246, 0.361, 0.139], [0.734, 0.168, 0.528], [0.672, 0.665, 0.667], [0.752, 0.864, 0.076], [0.346, 0.530, 0.243], [0.513, 0.828, 0.410], [0.019, 0.837, 0.694], [0.819, 0.146, 0.425], [0.434, 0.361, 0.643], [0.353, 0.994, 0.747], [0.653, 0.469, 0.471], [0.094, 0.159, 0.091], [0.667, 0.667, 0.525], [0.581, 0.468, 0.972], [0.902, 0.975, 0.410], [0.602, 0.034, 0.304], [0.083, 0.689, 0.757], [0.595, 0.030, 0.592], [0.768, 0.695, 0.973], [0.985, 0.172, 0.305], [0.350, 0.535, 0.526], [0.997, 0.999, 0.146], [0.998, 0.707, 0.747], [0.585, 0.196, 0.410], [0.354, 0.721, 0.248], [0.915, 0.033, 0.805], [0.415, 0.518, 0.742], [0.402, 0.830, 0.910], [0.485, 0.172, 0.306], [0.682, 0.494, 0.357], [0.998, 0.996, 0.006], [0.182, 0.871, 0.857], [0.103, 0.171, 0.805], [0.259, 0.830, 0.757], [0.646, 0.995, 0.247], [0.165, 0.666, 0.024], [0.333, 0.334, 0.340], [0.307, 0.655, 0.916], [0.753, 0.361, 0.424], [0.999, 0.999, 0.644], [0.986, 0.811, 0.092], [0.927, 0.493, 0.424], [0.172, 0.960, 0.915], [0.400, 0.966, 0.693], [0.239, 0.308, 0.742], [0.568, 0.496, 0.578], [0.583, 0.689, 0.757], [0.502, 0.000, 0.146], [0.333, 0.343, 0.836], [0.340, 0.053, 0.081], [0.915, 0.796, 0.305], [0.818, 0.503, 0.641], [0.474, 0.626, 0.081], [0.169, 0.666, 0.815], [0.680, 0.495, 0.077], [0.566, 0.633, 0.359], [0.512, 0.195, 0.909], [0.017, 0.200, 0.192], [0.691, 0.321, 0.085], [0.333, 0.336, 0.188], [0.400, 0.834, 0.192], [0.832, 0.342, 0.836], [0.484, 0.795, 0.805], [0.647, 0.296, 0.747], [0.833, 0.325, 0.185], [0.153, 0.479, 0.758], [0.260, 0.695, 0.257], [0.182, 0.999, 0.747], [0.307, 0.959, 0.415], [0.420, 0.029, 0.091], [0.169, 0.665, 0.315], [0.000, 0.998, 0.855], [0.521, 0.386, 0.915], [0.402, 0.975, 0.409], [0.084, 0.480, 0.257], [0.503, 0.291, 0.249], [0.927, 0.362, 0.924], [0.319, 0.494, 0.924], [0.734, 0.300, 0.027], [0.234, 0.168, 0.528], [0.101, 0.030, 0.306], [0.000, 0.999, 0.506], [0.427, 0.492, 0.425], [0.170, 0.665, 0.171], [0.751, 0.868, 0.359], [0.564, 0.494, 0.857], [0.569, 0.642, 0.077], [0.254, 0.146, 0.924], [0.068, 0.496, 0.578], [0.752, 0.641, 0.577], [0.751, 0.633, 0.859], [0.471, 0.322, 0.585], [0.427, 0.362, 0.924], [0.142, 0.994, 0.249], [0.020, 0.656, 0.415], [0.759, 0.687, 0.257], [0.653, 0.479, 0.758], [0.190, 0.059, 0.585], [0.586, 0.477, 0.257], [0.153, 0.466, 0.473], [0.498, 0.707, 0.747], [0.416, 0.301, 0.528], [0.414, 0.799, 0.306], [0.669, 0.666, 0.815], [0.521, 0.653, 0.415], [0.753, 0.145, 0.924], [0.984, 0.795, 0.805], [0.746, 0.131, 0.643], [0.673, 0.387, 0.415], [0.668, 0.680, 0.171], [0.747, 0.361, 0.143], [0.833, 0.322, 0.337], [0.267, 0.694, 0.973], [0.844, 0.166, 0.743], [0.083, 0.205, 0.694], [0.519, 0.837, 0.694], [0.253, 0.361, 0.425], [0.920, 0.029, 0.091], [0.085, 0.976, 0.910], [0.833, 0.338, 0.683], [0.682, 0.871, 0.857], [0.020, 0.384, 0.915], [0.246, 0.131, 0.643], [0.172, 0.665, 0.667], [0.095, 0.030, 0.592], [0.252, 0.641, 0.577], [0.585, 0.966, 0.192], [0.834, 0.334, 0.482], [0.853, 0.712, 0.247], [0.899, 0.831, 0.192], [0.850, 0.535, 0.526], [0.916, 0.301, 0.528], [0.739, 0.308, 0.742], [0.850, 0.166, 0.026], [0.333, 0.334, 0.482], [0.518, 0.202, 0.194], [0.971, 0.322, 0.585], [0.818, 0.134, 0.140], [0.806, 0.959, 0.416], [0.250, 0.867, 0.359], [0.999, 0.364, 0.746], [0.320, 0.134, 0.139], [0.233, 0.300, 0.026], [0.917, 0.312, 0.242], [0.499, 0.364, 0.747], [0.068, 0.641, 0.077], [0.916, 0.533, 0.027], [0.915, 0.518, 0.742], [0.673, 0.959, 0.915], [0.417, 0.534, 0.026], [0.183, 0.498, 0.359], [0.180, 0.864, 0.578], [0.654, 0.828, 0.258], [0.486, 0.161, 0.592], [0.603, 0.171, 0.805], [0.595, 0.161, 0.092], [0.900, 0.966, 0.693], [0.820, 0.493, 0.925], [0.808, 0.654, 0.915], [0.580, 0.694, 0.473], [0.667, 0.674, 0.314], [0.500, 0.000, 0.506], [0.499, 0.999, 0.644], [0.934, 0.361, 0.643], [0.583, 0.205, 0.694], [0.653, 0.837, 0.972], [0.251, 0.634, 0.860], [0.333, 0.338, 0.683], [0.167, 0.667, 0.524]]
}



# 2
{
  "formula": "Ca3Mg",
  "functional": "PBE",
  "state": "optimized geometry",
  "e_tot_ev_per_cell": -7.52,
  "delta_e_f_ev_per_atom": 0.023,
  "lattice_angstrom": [[3.776, 0.000, 0.000], [0.000, 6.041, 0.000], [0.000, 0.000, 6.418]],
  "species": ["Ca", "Mg", "Ca", "Ca"],
  "fractional_positions": [[0.000, 0.000, 0.005], [0.000, 0.500, 0.333], [0.500, 0.000, 0.494], [0.500, 0.500, 0.835]]
}



# 3
{
  "formula": "BaGe2As2",
  "functional": "PBE",
  "state": "optimized geometry",
  "e_tot_ev_per_cell": -91.97,
  "delta_e_f_ev_per_atom": -0.502,
  "e_ij_max_c_m2": 0.1,
  "lattice_angstrom": [[-4.089, 2.428, -6.353], [-1.653, -7.545, -1.820], [-7.327, 0.428, 4.880]],
  "species": ["As", "Ge", "As", "Ba", "Ba", "Ge", "Ge", "As", "As", "Ge", "As", "As", "Ba", "Ba", "Ge", "As", "As", "Ge", "Ge", "Ge"],
  "fractional_positions": [[0.755, 0.229, 0.756], [0.837, 0.500, 0.108], [0.229, 0.245, 0.256], [0.000, 0.500, 0.524], [0.000, 0.000, 0.999], [0.334, 0.500, 0.866], [0.500, 0.334, 0.366], [0.755, 0.771, 0.756], [0.229, 0.755, 0.256], [0.500, 0.837, 0.608], [0.245, 0.229, 0.756], [0.245, 0.771, 0.756], [0.500, 0.000, 0.024], [0.000, 0.000, 0.499], [0.500, 0.163, 0.608], [0.771, 0.755, 0.256], [0.771, 0.245, 0.256], [0.500, 0.666, 0.366], [0.666, 0.500, 0.866], [0.163, 0.500, 0.108]]
}



# 4
{
  "formula": "TiCrCuS4",
  "functional": "PBE",
  "state": "optimized geometry",
  "e_tot_ev_per_cell": -171.54,
  "delta_e_f_ev_per_atom": -0.958,
  "polymorph_energy_kj_per_mol_atoms": 22.1,
  "lattice_angstrom": [[-0.907, 0.139, 6.214], [1.884, -7.043, 0.446], [11.980, 1.495, 2.770]],
  "species": ["Cr", "S", "S", "S", "S", "Cu", "Cu", "Ti", "S", "Cu", "S", "Ti", "S", "S", "S", "S", "Ti", "Ti", "Cr", "Cu", "S", "S", "S", "Cr", "S", "S", "S", "Cr"],
  "fractional_positions": [[0.148, 0.702, 0.709], [0.397, 0.603, 0.109], [0.903, 0.853, 0.109], [0.682, 0.542, 0.362], [0.105, 0.653, 0.892], [0.251, 0.377, 0.997], [0.133, 0.200, 0.702], [0.630, 0.444, 0.706], [0.200, 0.778, 0.364], [0.750, 0.631, 0.003], [0.819, 0.718, 0.639], [0.764, 0.109, 0.998], [0.807, 0.216, 0.630], [0.894, 0.346, 0.109], [0.309, 0.963, 0.634], [0.307, 0.468, 0.633], [0.237, 0.886, 0.000], [0.857, 0.299, 0.296], [0.623, 0.950, 0.705], [0.876, 0.803, 0.299], [0.098, 0.147, 0.892], [0.685, 0.030, 0.369], [0.405, 0.093, 0.109], [0.366, 0.557, 0.290], [0.604, 0.395, 0.894], [0.195, 0.288, 0.360], [0.592, 0.904, 0.893], [0.367, 0.044, 0.295]]
}



# 5
{
  "formula": "PrIO9",
  "functional": "PBE",
  "state": "optimized geometry",
  "e_tot_ev_per_cell": -227.29,
  "delta_e_f_ev_per_atom": -0.544,
  "lattice_angstrom": [[-5.028, -8.651, -3.974], [-0.694, -2.641, 6.627], [-8.546, 1.570, 7.393]],
  "species": ["O", "O", "O", "O", "O", "O", "O", "O", "O", "O", "O", "O", "O", "O", "I", "O", "I", "O", "O", "O", "I", "O", "O", "O", "O", "Pr", "O", "O", "O", "O", "O", "I", "O", "Pr", "O", "Pr", "O", "O", "O", "O", "Pr", "O", "O", "O"],
  "fractional_positions": [[0.272, 0.111, 0.818], [0.435, 0.911, 0.362], [0.411, 0.332, 0.093], [0.424, 0.951, 0.113], [0.697, 0.836, 0.437], [0.731, 0.251, 0.178], [0.226, 0.524, 0.217], [0.269, 0.749, 0.822], [0.618, 0.402, 0.346], [0.772, 0.889, 0.682], [0.228, 0.111, 0.318], [0.935, 0.089, 0.138], [0.024, 0.526, 0.243], [0.089, 0.332, 0.593], [0.820, 0.960, 0.293], [0.274, 0.524, 0.717], [0.180, 0.040, 0.707], [0.476, 0.526, 0.743], [0.769, 0.251, 0.678], [0.524, 0.474, 0.257], [0.680, 0.960, 0.793], [0.726, 0.476, 0.283], [0.589, 0.668, 0.907], [0.576, 0.049, 0.887], [0.197, 0.164, 0.063], [0.905, 0.247, 0.504], [0.924, 0.049, 0.387], [0.076, 0.951, 0.613], [0.382, 0.598, 0.654], [0.231, 0.749, 0.322], [0.976, 0.474, 0.757], [0.320, 0.040, 0.207], [0.911, 0.668, 0.407], [0.595, 0.247, 0.004], [0.803, 0.836, 0.937], [0.405, 0.753, 0.996], [0.065, 0.911, 0.862], [0.118, 0.598, 0.154], [0.565, 0.089, 0.638], [0.774, 0.476, 0.783], [0.095, 0.753, 0.496], [0.882, 0.402, 0.846], [0.303, 0.164, 0.563], [0.728, 0.889, 0.182]]
}



# 6
{
  "formula": "SrMg6Sb",
  "functional": "PBE",
  "state": "optimized geometry",
  "e_tot_ev_per_cell": -31.97,
  "delta_e_f_ev_per_atom": -0.095,
  "polymorph_energy_kj_per_mol_atoms": 0.9,
  "lattice_angstrom": [[5.190, 0.000, 0.000], [0.000, 6.955, 0.000], [0.000, 0.000, 11.658]],
  "species": ["Sr", "Mg", "Mg", "Mg", "Sb", "Sb", "Mg", "Mg", "Mg", "Sr", "Mg", "Mg", "Mg", "Mg", "Mg", "Mg"],
  "fractional_positions": [[0.000, 0.000, 0.828], [0.000, 0.247, 0.078], [0.000, 0.747, 0.578], [0.000, 0.000, 0.339], [0.500, 0.500, 0.156], [0.500, 0.000, 0.656], [0.500, 0.000, 0.168], [0.000, 0.753, 0.078], [0.000, 0.253, 0.578], [0.000, 0.500, 0.328], [0.000, 0.500, 0.839], [0.500, 0.223, 0.426], [0.500, 0.723, 0.926], [0.500, 0.777, 0.426], [0.500, 0.277, 0.926], [0.500, 0.500, 0.668]]
}



# 7
{
  "formula": "Ba3UFeSe6",
  "functional": "PBE",
  "state": "optimized geometry",
  "e_tot_ev_per_cell": -125.03,
  "delta_e_f_ev_per_atom": -1.714,
  "lattice_angstrom": [[6.340, 3.660, 4.630], [-6.340, 3.660, 4.630], [0.000, -7.320, 4.630]],
  "species": ["Ba", "Ba", "Ba", "Se", "Fe", "Se", "Se", "U", "Se", "Ba", "Se", "Fe", "Se", "Se", "Se", "Ba", "Ba", "Se", "Se", "Se", "Se", "U"],
  "fractional_positions": [[0.866, 0.634, 0.250], [0.634, 0.250, 0.866], [0.750, 0.134, 0.366], [0.202, 0.536, 0.412], [0.000, 0.000, 0.000], [0.298, 0.088, 0.964], [0.412, 0.202, 0.536], [0.750, 0.750, 0.750], [0.464, 0.588, 0.798], [0.134, 0.366, 0.750], [0.912, 0.036, 0.702], [0.500, 0.500, 0.500], [0.588, 0.798, 0.464], [0.536, 0.412, 0.202], [0.036, 0.702, 0.912], [0.250, 0.866, 0.634], [0.366, 0.750, 0.134], [0.088, 0.964, 0.298], [0.798, 0.464, 0.588], [0.702, 0.912, 0.036], [0.964, 0.298, 0.088], [0.250, 0.250, 0.250]]
}



# 8
{
  "formula": "KCuF3",
  "functional": "PBE",
  "state": "optimized geometry",
  "e_tot_ev_per_cell": -21.36,
  "delta_e_f_ev_per_atom": -2.358,
  "lattice_angstrom": [[4.069, 0.000, 0.000], [0.000, 4.069, 0.000], [0.000, 0.000, 4.069]],
  "species": ["F", "F", "F", "Cu", "K"],
  "fractional_positions": [[0.000, 0.000, 0.500], [0.000, 0.500, 0.000], [0.500, 0.000, 0.000], [0.000, 0.000, 0.000], [0.500, 0.500, 0.500]]
}